The following is a PBE+U calculation of a relaxed structure of SrCaMn2O6, from the Materials Project.

Cell: 3.8295 5.4071 10.8813 Å, 90.00 90.00 90.00°
Last column: nearest neighbours and their distance in Å.
Positions (direct):
O  0.0000  0.7446  0.6203  2 Mn 1.88-1.98
O  0.5000  0.5000  0.2407  2 Mn 1.92
O  0.0000  0.7474  0.8744  2 Mn 1.86-1.95
O  0.0000  0.2565  0.1199  2 Mn 1.88-1.98
O  0.5000  0.5000  0.7407  2 Mn 1.92
O  0.0000  0.2515  0.3740  2 Mn 1.86-1.95
O  0.0000  0.7445  0.1203  2 Mn 1.88-1.98
O  0.0000  0.2516  0.8740  2 Mn 1.86-1.95
O  0.5000  0.0001  0.9987  2 Mn 1.92
O  0.0000  0.2564  0.6198  2 Mn 1.88-1.98
O  0.5000  0.0001  0.4987  2 Mn 1.92
O  0.0000  0.7475  0.3745  2 Mn 1.86-1.95
Ca  0.5000  0.5001  0.5118  11 O 2.49-2.78
Ca  0.5000  0.5001  0.0118  11 O 2.49-2.78
Mn  0.0000  0.0000  0.0029  6 O 1.88-1.95
Mn  0.0000  0.4999  0.2559  6 O 1.86-1.98
Mn  0.0000  0.0000  0.5029  6 O 1.88-1.95
Mn  0.0000  0.4999  0.7560  6 O 1.86-1.98
Sr  0.5000  0.9999  0.7514  12 O 2.69-2.76
Sr  0.5000  0.9999  0.2514  12 O 2.69-2.76

Calculated values
Energy relative to the elements, eV/atom: -2.432
Calculated density, g/cm3: 4.92
Distance to the lowest polymorph of the same formula, kcal/mol of atoms: 0.63